(1)
# Mn2B4Mo (GGA-PBE, relaxed)
data_Mn2B4Mo
_cell_length_a 6.795
_cell_length_b 6.795
_cell_length_c 6.795
_cell_angle_alpha 154.31
_cell_angle_beta 153.74
_cell_angle_gamma 37.07
_symmetry_space_group_name_H-M 'P 1'
_symmetry_Int_Tables_number 1
loop_
_symmetry_equiv_pos_as_xyz
'x,y,z'
loop_
_atom_site_label
_atom_site_type_symbol
_atom_site_fract_x
_atom_site_fract_y
_atom_site_fract_z
Mn1 Mn 0.186 0.186 0.000
Mn2 Mn 0.814 0.814 0.000
B1 B 0.352 0.352 0.000
B2 B 0.428 0.928 0.500
B3 B 0.572 0.072 0.500
B4 B 0.648 0.648 0.000
Mo1 Mo 0.000 0.500 0.500
# Formation energy from the elements (kcal/mol of atoms): -10.7
# Calculated volume (Å³ per atom): 8.6
# DFT total energy (Ha/atom): -0.310

---

(2)
# Mn3Ni20B6 (GGA-PBE, relaxed)
data_Mn3Ni20B6
_cell_length_a 7.365
_cell_length_b 7.365
_cell_length_c 7.365
_cell_angle_alpha 60.00
_cell_angle_beta 60.00
_cell_angle_gamma 60.00
_symmetry_space_group_name_H-M 'P 1'
_symmetry_Int_Tables_number 1
loop_
_symmetry_equiv_pos_as_xyz
'x,y,z'
loop_
_atom_site_label
_atom_site_type_symbol
_atom_site_fract_x
_atom_site_fract_y
_atom_site_fract_z
Mn1 Mn 0.000 0.000 0.000
Mn2 Mn 0.250 0.250 0.250
Mn3 Mn 0.750 0.750 0.750
Ni1 Ni 0.000 0.000 0.340
Ni2 Ni 0.000 0.000 0.660
Ni3 Ni 0.000 0.340 0.000
Ni4 Ni 0.000 0.340 0.660
Ni5 Ni 0.000 0.660 0.000
Ni6 Ni 0.000 0.660 0.340
Ni7 Ni 0.144 0.619 0.619
Ni8 Ni 0.340 0.000 0.000
Ni9 Ni 0.340 0.000 0.660
Ni10 Ni 0.340 0.660 0.000
Ni11 Ni 0.381 0.381 0.381
Ni12 Ni 0.381 0.381 0.856
Ni13 Ni 0.381 0.856 0.381
Ni14 Ni 0.619 0.144 0.619
Ni15 Ni 0.619 0.619 0.144
Ni16 Ni 0.619 0.619 0.619
Ni17 Ni 0.660 0.000 0.000
Ni18 Ni 0.660 0.000 0.340
Ni19 Ni 0.660 0.340 0.000
Ni20 Ni 0.856 0.381 0.381
B1 B 0.270 0.270 0.730
B2 B 0.270 0.730 0.270
B3 B 0.270 0.730 0.730
B4 B 0.730 0.270 0.270
B5 B 0.730 0.270 0.730
B6 B 0.730 0.730 0.270
# Formation energy from the elements (kcal/mol of atoms): -3.4
# Calculated volume (Å³ per atom): 9.7
# DFT total energy (Ha/atom): -0.238

---

(3)
# Mn5B2P (GGA-PBE, relaxed)
data_Mn5B2P
_cell_length_a 6.463
_cell_length_b 6.463
_cell_length_c 6.463
_cell_angle_alpha 129.46
_cell_angle_beta 129.46
_cell_angle_gamma 74.27
_symmetry_space_group_name_H-M 'P 1'
_symmetry_Int_Tables_number 1
loop_
_symmetry_equiv_pos_as_xyz
'x,y,z'
loop_
_atom_site_label
_atom_site_type_symbol
_atom_site_fract_x
_atom_site_fract_y
_atom_site_fract_z
Mn1 Mn 0.000 0.000 0.000
Mn2 Mn 0.030 0.530 0.838
Mn3 Mn 0.192 0.030 0.500
Mn4 Mn 0.308 0.808 0.838
Mn5 Mn 0.470 0.308 0.500
Mn6 Mn 0.500 0.500 0.000
Mn7 Mn 0.530 0.692 0.500
Mn8 Mn 0.692 0.192 0.162
Mn9 Mn 0.808 0.970 0.500
Mn10 Mn 0.970 0.470 0.162
B1 B 0.119 0.381 0.500
B2 B 0.381 0.881 0.262
B3 B 0.619 0.119 0.738
B4 B 0.881 0.619 0.500
P1 P 0.250 0.250 0.000
P2 P 0.750 0.750 0.000
# Formation energy from the elements (kcal/mol of atoms): -11.1
# Calculated volume (Å³ per atom): 9.8
# DFT total energy (Ha/atom): -0.314

---

(4)
# Mn5BPd15 (GGA-PBE, relaxed)
data_Mn5BPd15
_cell_length_a 4.045
_cell_length_b 4.045
_cell_length_c 19.321
_cell_angle_alpha 90.00
_cell_angle_beta 90.00
_cell_angle_gamma 90.00
_symmetry_space_group_name_H-M 'P 1'
_symmetry_Int_Tables_number 1
loop_
_symmetry_equiv_pos_as_xyz
'x,y,z'
loop_
_atom_site_label
_atom_site_type_symbol
_atom_site_fract_x
_atom_site_fract_y
_atom_site_fract_z
Mn1 Mn 0.000 0.000 0.000
Mn2 Mn 0.000 0.000 0.196
Mn3 Mn 0.000 0.000 0.390
Mn4 Mn 0.000 0.000 0.610
Mn5 Mn 0.000 0.000 0.804
B1 B 0.500 0.500 0.500
Pd1 Pd 0.000 0.500 0.098
Pd2 Pd 0.000 0.500 0.294
Pd3 Pd 0.000 0.500 0.500
Pd4 Pd 0.000 0.500 0.706
Pd5 Pd 0.000 0.500 0.902
Pd6 Pd 0.500 0.000 0.098
Pd7 Pd 0.500 0.000 0.294
Pd8 Pd 0.500 0.000 0.500
Pd9 Pd 0.500 0.000 0.706
Pd10 Pd 0.500 0.000 0.902
Pd11 Pd 0.500 0.500 0.000
Pd12 Pd 0.500 0.500 0.195
Pd13 Pd 0.500 0.500 0.393
Pd14 Pd 0.500 0.500 0.607
Pd15 Pd 0.500 0.500 0.805
# Formation energy from the elements (kcal/mol of atoms): -5.4
# Calculated volume (Å³ per atom): 15.1
# DFT total energy (Ha/atom): -0.236

---

(5)
# Sc2MnB2Rh5 (GGA-PBE, relaxed)
data_Sc2MnB2Rh5
_cell_length_a 9.407
_cell_length_b 9.407
_cell_length_c 3.065
_cell_angle_alpha 90.00
_cell_angle_beta 90.00
_cell_angle_gamma 90.00
_symmetry_space_group_name_H-M 'P 1'
_symmetry_Int_Tables_number 1
loop_
_symmetry_equiv_pos_as_xyz
'x,y,z'
loop_
_atom_site_label
_atom_site_type_symbol
_atom_site_fract_x
_atom_site_fract_y
_atom_site_fract_z
Sc1 Sc 0.176 0.324 0.000
Sc2 Sc 0.324 0.824 0.000
Sc3 Sc 0.676 0.176 0.000
Sc4 Sc 0.824 0.676 0.000
Mn1 Mn 0.000 0.000 0.000
Mn2 Mn 0.500 0.500 0.000
B1 B 0.124 0.624 0.000
B2 B 0.376 0.124 0.000
B3 B 0.624 0.876 0.000
B4 B 0.876 0.376 0.000
Rh1 Rh 0.000 0.500 0.500
Rh2 Rh 0.071 0.782 0.500
Rh3 Rh 0.218 0.071 0.500
Rh4 Rh 0.282 0.571 0.500
Rh5 Rh 0.429 0.282 0.500
Rh6 Rh 0.500 0.000 0.500
Rh7 Rh 0.571 0.718 0.500
Rh8 Rh 0.718 0.429 0.500
Rh9 Rh 0.782 0.929 0.500
Rh10 Rh 0.929 0.218 0.500
# Formation energy from the elements (kcal/mol of atoms): -13.9
# Calculated volume (Å³ per atom): 13.6
# DFT total energy (Ha/atom): -0.287

---

(6)
# Ti8Mn3B8Ru18 (GGA-PBE, relaxed)
data_Ti8Mn3B8Ru18
_cell_length_a 17.602
_cell_length_b 17.602
_cell_length_c 2.969
_cell_angle_alpha 90.00
_cell_angle_beta 90.00
_cell_angle_gamma 90.33
_symmetry_space_group_name_H-M 'P 1'
_symmetry_Int_Tables_number 1
loop_
_symmetry_equiv_pos_as_xyz
'x,y,z'
loop_
_atom_site_label
_atom_site_type_symbol
_atom_site_fract_x
_atom_site_fract_y
_atom_site_fract_z
Ti1 Ti 0.000 0.500 0.000
Ti2 Ti 0.035 0.687 0.000
Ti3 Ti 0.172 0.828 0.000
Ti4 Ti 0.185 0.466 0.000
Ti5 Ti 0.199 0.199 0.000
Ti6 Ti 0.302 0.698 0.000
Ti7 Ti 0.313 0.965 0.000
Ti8 Ti 0.466 0.185 0.000
Ti9 Ti 0.500 0.000 0.000
Ti10 Ti 0.534 0.815 0.000
Ti11 Ti 0.687 0.035 0.000
Ti12 Ti 0.698 0.302 0.000
Ti13 Ti 0.801 0.801 0.000
Ti14 Ti 0.815 0.534 0.000
Ti15 Ti 0.828 0.172 0.000
Ti16 Ti 0.965 0.313 0.000
Mn1 Mn 0.046 0.954 0.000
Mn2 Mn 0.329 0.329 0.000
Mn3 Mn 0.453 0.453 0.000
Mn4 Mn 0.547 0.547 0.000
Mn5 Mn 0.671 0.671 0.000
Mn6 Mn 0.954 0.046 0.000
B1 B 0.037 0.164 0.000
B2 B 0.122 0.330 0.000
B3 B 0.164 0.037 0.000
B4 B 0.170 0.621 0.000
B5 B 0.330 0.122 0.000
B6 B 0.336 0.537 0.000
B7 B 0.379 0.830 0.000
B8 B 0.463 0.664 0.000
B9 B 0.537 0.336 0.000
B10 B 0.621 0.170 0.000
B11 B 0.664 0.463 0.000
B12 B 0.670 0.878 0.000
B13 B 0.830 0.379 0.000
B14 B 0.836 0.963 0.000
B15 B 0.878 0.670 0.000
B16 B 0.963 0.836 0.000
Ru1 Ru 0.051 0.832 0.500
Ru2 Ru 0.070 0.401 0.500
Ru3 Ru 0.081 0.081 0.500
Ru4 Ru 0.084 0.245 0.500
Ru5 Ru 0.098 0.569 0.500
Ru6 Ru 0.168 0.710 0.500
Ru7 Ru 0.168 0.949 0.500
Ru8 Ru 0.214 0.334 0.500
Ru9 Ru 0.245 0.084 0.500
Ru10 Ru 0.255 0.580 0.500
Ru11 Ru 0.290 0.832 0.500
Ru12 Ru 0.332 0.447 0.500
Ru13 Ru 0.334 0.214 0.500
Ru14 Ru 0.401 0.070 0.500
Ru15 Ru 0.420 0.580 0.500
Ru16 Ru 0.420 0.745 0.500
Ru17 Ru 0.431 0.902 0.500
Ru18 Ru 0.447 0.332 0.500
Ru19 Ru 0.553 0.668 0.500
Ru20 Ru 0.569 0.098 0.500
Ru21 Ru 0.580 0.255 0.500
Ru22 Ru 0.580 0.420 0.500
Ru23 Ru 0.599 0.930 0.500
Ru24 Ru 0.666 0.786 0.500
Ru25 Ru 0.668 0.553 0.500
Ru26 Ru 0.710 0.168 0.500
Ru27 Ru 0.745 0.420 0.500
Ru28 Ru 0.755 0.916 0.500
Ru29 Ru 0.786 0.666 0.500
Ru30 Ru 0.832 0.051 0.500
Ru31 Ru 0.832 0.290 0.500
Ru32 Ru 0.902 0.431 0.500
Ru33 Ru 0.916 0.755 0.500
Ru34 Ru 0.919 0.919 0.500
Ru35 Ru 0.930 0.599 0.500
Ru36 Ru 0.949 0.168 0.500
# Formation energy from the elements (kcal/mol of atoms): -12.0
# Calculated volume (Å³ per atom): 12.4
# DFT total energy (Ha/atom): -0.328

---

(7)
# Mn5SiB2 (GGA-PBE, relaxed)
data_Mn5SiB2
_cell_length_a 6.490
_cell_length_b 6.490
_cell_length_c 6.490
_cell_angle_alpha 129.29
_cell_angle_beta 129.29
_cell_angle_gamma 74.55
_symmetry_space_group_name_H-M 'P 1'
_symmetry_Int_Tables_number 1
loop_
_symmetry_equiv_pos_as_xyz
'x,y,z'
loop_
_atom_site_label
_atom_site_type_symbol
_atom_site_fract_x
_atom_site_fract_y
_atom_site_fract_z
Mn1 Mn 0.000 0.000 0.000
Mn2 Mn 0.030 0.530 0.834
Mn3 Mn 0.196 0.030 0.500
Mn4 Mn 0.304 0.804 0.834
Mn5 Mn 0.470 0.304 0.500
Mn6 Mn 0.500 0.500 0.000
Mn7 Mn 0.530 0.696 0.500
Mn8 Mn 0.696 0.196 0.166
Mn9 Mn 0.804 0.970 0.500
Mn10 Mn 0.970 0.470 0.166
Si1 Si 0.250 0.250 0.000
Si2 Si 0.750 0.750 0.000
B1 B 0.121 0.379 0.500
B2 B 0.379 0.879 0.258
B3 B 0.621 0.121 0.742
B4 B 0.879 0.621 0.500
# Formation energy from the elements (kcal/mol of atoms): -9.7
# Calculated volume (Å³ per atom): 10.0
# DFT total energy (Ha/atom): -0.312

---

(8)
# SmMnB4 (GGA-PBE, relaxed)
data_SmMnB4
_cell_length_a 5.977
_cell_length_b 11.563
_cell_length_c 3.472
_cell_angle_alpha 90.00
_cell_angle_beta 90.00
_cell_angle_gamma 90.00
_symmetry_space_group_name_H-M 'P 1'
_symmetry_Int_Tables_number 1
loop_
_symmetry_equiv_pos_as_xyz
'x,y,z'
loop_
_atom_site_label
_atom_site_type_symbol
_atom_site_fract_x
_atom_site_fract_y
_atom_site_fract_z
Sm1 Sm 0.125 0.151 0.000
Sm2 Sm 0.375 0.651 0.000
Sm3 Sm 0.625 0.349 0.000
Sm4 Sm 0.875 0.849 0.000
Mn1 Mn 0.126 0.417 0.000
Mn2 Mn 0.374 0.917 0.000
Mn3 Mn 0.626 0.083 0.000
Mn4 Mn 0.874 0.583 0.000
B1 B 0.025 0.689 0.500
B2 B 0.111 0.546 0.500
B3 B 0.141 0.967 0.500
B4 B 0.223 0.818 0.500
B5 B 0.277 0.318 0.500
B6 B 0.359 0.467 0.500
B7 B 0.389 0.046 0.500
B8 B 0.475 0.189 0.500
B9 B 0.525 0.811 0.500
B10 B 0.611 0.954 0.500
B11 B 0.641 0.533 0.500
B12 B 0.723 0.682 0.500
B13 B 0.777 0.182 0.500
B14 B 0.859 0.033 0.500
B15 B 0.889 0.454 0.500
B16 B 0.975 0.311 0.500
# Formation energy from the elements (kcal/mol of atoms): -13.1
# Calculated volume (Å³ per atom): 10.0
# DFT total energy (Ha/atom): -0.270

---

Question: calculated volume of number 6 (Ti8Mn3B8Ru18)?
Answer: 12.4 Å³ per atom

---

Question: Which value of formation energy from the elements does entry 3 give?
Answer: -11.1 kcal/mol of atoms